# LiCoP2O7

A geometry-optimized LiCoP2O7 structure (r2SCAN, Materials Project).

Cell: 6.567 7.753 9.105 Å, 90.00 108.12 90.00°
Atoms (fractional coordinates):
1 Li 0.201 0.116 0.039
2 Li 0.201 0.384 0.539
3 Li 0.799 0.616 0.461
4 Li 0.799 0.884 0.961
5 Co 0.279 0.728 0.996
6 Co 0.279 0.772 0.496
7 Co 0.721 0.228 0.504
8 Co 0.721 0.272 0.004
9 P 0.052 0.539 0.204
10 P 0.052 0.961 0.704
11 P 0.468 0.087 0.702
12 P 0.468 0.413 0.202
13 P 0.532 0.587 0.798
14 P 0.532 0.913 0.298
15 P 0.948 0.039 0.296
16 P 0.948 0.461 0.796
17 O 0.069 0.690 0.101
18 O 0.069 0.810 0.601
19 O 0.087 0.593 0.372
20 O 0.087 0.907 0.872
21 O 0.159 0.552 0.854
22 O 0.159 0.948 0.354
23 O 0.226 0.107 0.705
24 O 0.226 0.393 0.205
25 O 0.389 0.584 0.631
26 O 0.389 0.916 0.131
27 O 0.478 0.589 0.134
28 O 0.478 0.911 0.634
29 O 0.496 0.241 0.605
30 O 0.496 0.259 0.105
31 O 0.504 0.741 0.895
32 O 0.504 0.759 0.395
33 O 0.522 0.089 0.366
34 O 0.522 0.411 0.866
35 O 0.611 0.084 0.869
36 O 0.611 0.416 0.369
37 O 0.774 0.607 0.795
38 O 0.774 0.893 0.295
39 O 0.841 0.052 0.646
40 O 0.841 0.448 0.146
41 O 0.913 0.093 0.128
42 O 0.913 0.407 0.628
43 O 0.931 0.190 0.399
44 O 0.931 0.310 0.899

Summary:
As for the space group: No. 14. The formation energy is -2.16 eV per atom. Its total DFT energy (no corrections) is -9.01 eV per atom. The spin magnetization is 0.0 μB per formula unit.